Compound: CsAlH24Se2O20
Source: the Materials Project
Functional: r²SCAN
Structure: optimized geometry

a b c (Å): 12.4751 12.4751 12.4751
angles (deg): 90.00 90.00 90.00
With the nearest neighbours (Å) after each atom.
Space group Pa-3 (No. 205)
One atom of each set of equivalent atoms:
Cs 0.0000 0.0000 0.0000 [4 per cell]  6 O 3.19
Al 0.0000 0.0000 0.5000 [4 per cell]  6 O 1.88
H 0.0024 0.1981 0.7750 [24 per cell]  1 O 0.99
H 0.0246 0.5481 0.7986 [24 per cell]  1 O 1.01
H 0.0337 0.0809 0.3143 [24 per cell]  1 O 0.99
H 0.1172 0.6656 0.7205 [24 per cell]  1 O 0.98
Se 0.1899 0.1899 0.1899 [8 per cell]  4 O 1.65-1.66
O 0.0134 0.0132 0.3503 [24 per cell]  2 H 0.99-1.01
O 0.0448 0.6363 0.7114 [24 per cell]  2 H 0.98-0.99
O 0.0670 0.1857 0.2392 [24 per cell]  1 Se 1.65, 2 H 1.66-1.72
O 0.2333 0.7333 0.7667 [8 per cell]  1 Se 1.66, 3 H 1.77

Values from the calculation:
The calculation puts the energy at -1278.11 eV per cell.

***

Compound: Cs9AlO4
Source: the Materials Project
Functional: r²SCAN
Structure: optimized geometry

a b c (Å): 15.6868 15.6868 12.4404
angles (deg): 90.00 90.00 90.00
With the nearest neighbours (Å) after each atom.
Space group I4/mcm (No. 140)
One atom of each set of equivalent atoms:
Cs 0.0000 0.0000 0.0000 [4 per cell]  12 Cs 5.34-5.90
Cs 0.0000 0.2769 0.2500 [16 per cell]  2 O 2.88
Cs 0.0802 0.4198 0.0000 [8 per cell]  4 O 3.07
Cs 0.1596 0.3404 0.5000 [8 per cell]  2 O 2.92
Al 0.0000 0.5000 0.2500 [4 per cell]  4 O 1.80
O 0.0654 0.4346 0.3358 [16 per cell]  1 Al 1.80

Values from the calculation:
The calculation puts the energy at -1101.17 eV per cell.